Record 1
A geometry-optimized MnAl6Si4O19 structure. Source: the Materials Project, functional GGA+U. Values from VASP.

```
&SYSTEM
  ibrav = 0, nat = 60, ntyp = 4
/
ATOMIC_SPECIES
Mn 54.94 Mn.upf
Al 26.98 Al.upf
Si 28.09 Si.upf
O 16.00 O.upf
ATOMIC_POSITIONS angstrom
Mn 5.9482 -10.1459 -0.8783
Mn 3.4289 -5.6568 0.5520
Al 6.4371 -13.3665 0.4367
Al 2.9399 -2.4361 -0.7631
Al 8.1821 -5.4677 -3.0135
Al 1.1949 -10.3350 2.6871
Al 0.6068 -4.6679 -1.1579
Al 8.5750 -12.2077 -1.7235
Al 8.7703 -11.1348 0.8315
Al 0.8020 -3.5950 1.3971
Al 5.3869 -4.4517 -1.6732
Al 4.1909 -10.2474 3.9747
Al 3.9901 -11.3509 1.3469
Al 5.1861 -5.5552 -4.3011
Si 1.5182 -7.2974 -1.7359
Si 7.8588 -8.5052 1.4095
Si 4.4412 -7.4952 -1.8763
Si 4.9359 -8.3074 1.5499
Si 2.7466 -3.5261 -3.4134
Si 6.6304 -12.2765 3.0871
Si 1.0666 -11.3079 -0.0173
Si 8.3104 -4.4947 -0.3091
O 0.3163 -12.5990 0.5821
O 9.0607 -3.2037 -0.9085
O 5.0930 -12.2449 0.0684
O 4.2840 -3.5577 -0.3948
O 4.1159 -4.3929 -3.1541
O 5.2611 -11.4097 2.8277
O 2.6988 -11.5552 -0.0382
O 6.6782 -4.2475 -0.2882
O 5.7333 -8.4613 -1.5693
O 3.6437 -7.3413 1.2429
O 3.0006 -8.1235 -1.5023
O 6.3765 -7.6792 1.1759
O 6.4289 -5.2499 -2.9710
O 2.9482 -10.5527 2.6446
O 1.4099 -4.3206 -2.9777
O 7.9671 -11.4820 2.6513
O 0.4684 -8.4650 -1.1654
O 8.9086 -7.3376 0.8390
O 0.0731 -6.1434 -2.1101
O 9.3039 -9.6592 1.7837
O 7.8115 -12.4424 -0.0564
O 1.5655 -3.3602 -0.2700
O 1.9571 -5.9896 -0.6839
O 7.2276 -10.8702 -2.1600
O 7.4199 -9.8130 0.3575
O 2.1495 -4.9324 1.8336
O 2.8768 -2.1444 -2.5229
O 6.6916 -12.6063 4.7016
O 6.5002 -13.6582 2.1965
O 2.6854 -3.1963 -5.0280
O 8.5909 -5.7928 -1.3048
O 0.5897 -11.0893 -1.5921
O 0.7861 -10.0098 0.9784
O 8.7874 -4.7134 1.2657
O 4.6534 -6.0684 -1.0148
O 4.9146 -8.6851 3.1869
O 4.7237 -9.7343 0.6884
O 4.4624 -7.1176 -3.5133
CELL_PARAMETERS angstrom
-0.4037 -2.2185 -5.2832
9.2615 -2.5523 0.3640
0.5193 -11.0317 4.5928
```

symmetry	No. 11

=====

Record 2
A geometry-optimized Li4V2OF7 structure. Source: the Materials Project, functional GGA+U. Values from VASP.

```
&SYSTEM
  ibrav = 0, nat = 14, ntyp = 4
/
ATOMIC_SPECIES
Li 6.94 Li.upf
V 50.94 V.upf
O 16.00 O.upf
F 19.00 F.upf
ATOMIC_POSITIONS angstrom
Li -9.4749 -2.6697 0.1066
Li -7.2520 -0.7116 -0.2609
Li -12.6948 -1.3992 -0.4173
Li -1.7394 -0.2061 -0.0535
V -9.5580 -0.5043 -1.9902
V -9.7337 0.2336 0.8787
O -8.7514 0.6128 -0.6934
F -5.9690 -0.2324 -1.7928
F -6.1392 0.4826 0.9871
F -5.7804 -2.1690 0.2040
F -3.6793 -0.3701 -0.1301
F -10.7460 -1.1505 -0.3620
F -8.5028 -1.3166 1.3408
F -8.3285 -2.0487 -1.5057
CELL_PARAMETERS angstrom
-5.1639 1.9152 2.3739
-4.7997 0.3850 -3.5755
-4.4791 -3.8278 0.7103
```

symmetry	No. 8
energy above the lowest structure with this stoichiometry	7	meV/atom

=====

Record 3
A geometry-optimized Li5Mn4P8O28 structure. Source: the Materials Project, functional GGA+U. Values from VASP.

```
&SYSTEM
  ibrav = 0, nat = 90, ntyp = 4
/
ATOMIC_SPECIES
Li 6.94 Li.upf
Mn 54.94 Mn.upf
P 30.97 P.upf
O 16.00 O.upf
ATOMIC_POSITIONS angstrom
Li 2.7697 0.1794 5.0000
Li 8.7559 0.8039 0.2246
Li 3.9217 1.9549 10.7790
Li 0.5166 2.9022 5.6494
Li 7.6056 2.6840 6.0807
Li 4.0382 6.2351 10.5530
Li 8.6485 6.2446 0.5317
Li 1.0495 6.8481 10.7453
Li 3.9698 7.1003 4.9787
Li 6.9408 7.6487 6.0746
Mn 0.7854 0.5672 7.5245
Mn 7.5960 0.8847 9.2285
Mn 2.7974 1.8479 1.8630
Mn 5.6165 2.3117 3.6592
Mn 4.0319 5.4924 7.4015
Mn 6.8933 5.7398 9.1727
Mn 2.1711 6.6194 1.8248
Mn 9.0319 7.2540 3.6810
P 5.4305 -1.3616 8.4084
P 2.8752 -0.7836 9.8930
P 0.6564 0.0552 2.6472
P 8.2806 0.4375 4.6819
P 3.5171 2.5108 6.2133
P 5.5913 2.6549 8.3614
P 9.1954 3.5774 8.4447
P 7.6981 3.4670 1.2861
P 2.0228 4.1044 9.8301
P 0.5871 4.0004 2.6489
P 4.1906 4.9935 2.6766
P 6.3870 5.3312 4.6289
P 1.3212 7.4470 6.2163
P 9.0168 7.6454 8.3589
P 6.9194 8.4436 1.3234
P 4.2554 8.9706 2.6046
O 5.6184 -1.2039 6.9382
O 1.4505 -0.8867 6.0771
O 8.8890 -0.7046 8.0735
O 6.4447 -0.6972 9.3529
O 4.0101 -0.7167 8.7424
O 1.6708 -0.1526 9.2535
O 3.4497 2.2230 0.0521
O 7.3388 0.0052 1.0993
O 9.0898 0.6007 3.2808
O 0.6490 0.3749 1.1741
O 4.3263 0.6363 2.2224
O 6.9234 1.1055 4.4372
O 1.8330 0.8366 3.3036
O 9.0598 1.2181 5.7394
O 4.2826 1.7768 5.0723
O 6.7846 1.8848 7.6911
O 2.1471 1.8254 6.3598
O 9.2249 2.0718 8.8946
O 4.2738 2.1496 7.6047
O 5.5441 2.1549 9.7818
O 2.3223 2.6758 10.0811
O 8.1612 2.6356 0.0364
O 6.5684 2.7211 2.0196
O 8.9219 3.3732 2.3409
O 4.1180 3.4659 2.9732
O 1.5706 3.3058 1.6718
O 8.9639 3.7575 6.9741
O 6.5044 3.8340 4.8839
O 3.4625 4.0064 6.0861
O 0.8424 3.7927 4.0929
O 8.2627 4.3438 9.4343
O 5.7019 4.1833 8.1490
O 0.8689 4.2044 8.6983
O 3.1357 4.9965 9.2877
O 1.3895 7.0089 0.0481
O 7.4577 4.8897 0.9268
O 3.9920 5.3383 1.2205
O 5.6070 5.4909 3.1995
O 0.5293 5.5226 2.1978
O 7.7414 5.9982 4.4117
O 3.1160 5.8694 3.4142
O 5.5583 6.1118 5.6533
O 0.5075 6.7706 5.0931
O 7.8275 6.8167 7.7620
O 2.6872 6.7956 6.3956
O 5.2973 6.9379 8.8517
O 9.1715 7.2611 9.8159
O 0.5584 7.1227 7.6112
O 2.7160 7.6197 10.3058
O 6.3380 7.7401 0.0538
O 8.0272 7.5344 1.9543
O 5.7423 8.3984 2.4442
O 3.3909 8.2041 1.5620
O 0.7183 8.3785 2.9450
O 8.1159 8.7805 4.8929
O 3.8703 8.7267 4.0357
CELL_PARAMETERS angstrom
9.7770 0.0000 0.0000
-0.0305 9.8502 0.0000
-0.0151 -2.1641 11.0476
```

symmetry	No. 1
energy above the lowest structure with this stoichiometry	1	meV/atom

=====

Record 4
A geometry-optimized Mg14CrFeO16 structure. Source: the Materials Project, functional GGA+U. Values from VASP.

```
&SYSTEM
  ibrav = 0, nat = 32, ntyp = 4
/
ATOMIC_SPECIES
Mg 24.30 Mg.upf
Cr 52.00 Cr.upf
Fe 55.84 Fe.upf
O 16.00 O.upf
ATOMIC_POSITIONS angstrom
Mg 0.0000 4.2603 0.0000
Mg 4.2603 0.0000 0.0000
Mg 0.0000 2.1155 2.1544
Mg 0.0000 6.4051 2.1544
Mg 4.2603 2.1208 2.1544
Mg 4.2603 6.3999 2.1544
Mg 2.1155 0.0000 2.1544
Mg 2.1208 4.2603 2.1544
Mg 6.4051 0.0000 2.1544
Mg 6.3999 4.2603 2.1544
Mg 2.1134 2.1134 0.0000
Mg 2.1134 6.4073 0.0000
Mg 6.4073 2.1134 0.0000
Mg 6.4073 6.4073 0.0000
Cr 4.2603 4.2603 0.0000
Fe 0.0000 0.0000 0.0000
O 2.2051 0.0000 0.0000
O 2.1488 4.2603 0.0000
O 6.3155 0.0000 0.0000
O 6.3718 4.2603 0.0000
O 2.1335 2.1335 2.1544
O 2.1335 6.3872 2.1544
O 6.3872 2.1335 2.1544
O 6.3872 6.3872 2.1544
O 0.0000 0.0000 2.1544
O 0.0000 4.2603 2.1544
O 4.2603 0.0000 2.1544
O 4.2603 4.2603 2.1544
O 0.0000 2.2051 0.0000
O 0.0000 6.3155 0.0000
O 4.2603 2.1488 0.0000
O 4.2603 6.3718 0.0000
CELL_PARAMETERS angstrom
8.5207 0.0000 0.0000
0.0000 8.5207 0.0000
0.0000 0.0000 4.3089
```

symmetry	No. 123
energy above the lowest structure with this stoichiometry	31	meV/atom

=====

Quick rundown of energy of formation from the pure elements, same order as above: -3.13; -3.00; -2.56; -2.83 eV per atom
Quick rundown of calculated volume, same order as above: 314.92; 154.17; 531.98; 312.83 Å³/f.u.